This record from the Materials Project describes a geometry-optimized HfScCo2 structure. The functional is r2SCAN.

Values from the calculation:
VASP energy	-21.145	eV per atom
magnetic moment	1.13	μB per cell
formation energy	-0.3908	eV per atom

Cell and atoms, written as extended XYZ:
```
4
Lattice="0.0000 3.1478 3.1478 3.1478 0.0000 3.1478 3.1478 3.1478 0.0000" Properties=species:S:1:pos:R:3 pbc="T T T"
Hf 1.5739 1.5739 1.5739
Sc 4.7217 4.7217 4.7217
Co 3.1478 3.1478 3.1478
Co 0.0000 0.0000 0.0000
```



This record from the Materials Project describes a geometry-optimized Pr3Al12Os4 structure. The functional is r2SCAN.

Values from the calculation:
VASP energy	-20.685	eV per atom
magnetic moment	0.00	μB per cell
formation energy	-0.6358	eV per atom

Cell and atoms, written as extended XYZ:
```
38
Lattice="4.4397 -7.6897 0.0000 4.4396 7.6897 0.0000 0.0000 0.0000 9.6862" Properties=species:S:1:pos:R:3 pbc="T T T"
Pr 2.5675 1.4824 2.4206
Pr 6.3118 -1.4823 7.2657
Pr 6.3118 1.4824 2.4206
Pr 2.5675 -1.4823 7.2657
Pr 4.4396 4.7250 2.4206
Pr 4.4397 -4.7250 7.2657
Al 4.4396 2.5632 0.0437
Al 4.4396 -2.5632 9.6426
Al 4.4397 -2.5632 4.8875
Al 4.4396 2.5632 4.7987
Al 2.1752 1.2559 5.5503
Al 6.7041 -1.2559 4.1359
Al 6.7041 1.2558 5.5503
Al 6.7040 -1.2559 0.7072
Al 2.1752 -1.2558 4.1359
Al 2.1753 1.2559 8.9790
Al 4.4396 5.1780 5.5503
Al 2.1753 -1.2559 0.7072
Al 4.4397 -5.1780 4.1359
Al 6.7040 1.2559 8.9790
Al 4.4396 -5.1779 0.7072
Al 4.4396 5.1779 8.9790
Al 3.0568 -3.3616 2.4214
Al 5.8225 3.3616 7.2648
Al 5.8225 -3.3616 2.4214
Al 3.0568 3.3616 7.2648
Al 4.4397 -0.9665 2.4214
Al 4.4396 0.9665 7.2649
Al 0.0000 0.0000 2.4216
Al 0.0000 0.0000 7.2647
Os 6.6594 3.8448 0.0000
Os 2.2198 3.8449 0.0000
Os 6.6594 3.8448 4.8431
Os 4.4397 0.0000 0.0000
Os 2.2198 3.8449 4.8431
Os 4.4397 0.0000 4.8431
Os 0.0000 0.0000 9.6862
Os 0.0000 0.0000 4.8431
```



This record from the Materials Project describes a geometry-optimized K4ZnBi2 structure. The functional is r2SCAN.

Values from the calculation:
VASP energy	-21.900	eV per atom
magnetic moment	0.00	μB per cell
formation energy	-0.4733	eV per atom

Cell and atoms, written as extended XYZ:
```
14
Lattice="4.2666 4.3779 -0.6122 -3.7350 -1.2252 -4.7217 -11.4101 11.9486 5.9253" Properties=species:S:1:pos:R:3 pbc="T T T"
K -12.6056 10.6175 0.9478
K 1.7925 4.8721 -1.0131
K -1.6255 7.9947 1.3847
K -9.3185 6.7185 -0.1364
K 0.3012 1.7864 -3.0222
K -5.4747 7.3407 0.6510
K -8.2836 10.5436 1.7813
K -2.5949 4.5578 -1.1898
Zn -5.6086 12.4168 3.1551
Zn -5.2700 2.6846 -2.5637
Bi -7.2543 14.3170 3.6281
Bi -3.5529 1.2071 -3.7519
Bi -6.9047 4.2197 -1.3331
Bi -4.0451 10.4589 2.6398
```



This record from the Materials Project describes a geometry-optimized NaH6CN2ClO2 structure. The functional is r2SCAN.

Values from the calculation:
VASP energy	-6.326	eV per atom
magnetic moment	0.00	μB per cell
formation energy	-0.8952	eV per atom

Cell and atoms, written as extended XYZ:
```
26
Lattice="-6.4248 -5.3589 -4.6499 -2.4679 -4.9297 -7.8246 1.3788 -6.2203 0.8776" Properties=species:S:1:pos:R:3 pbc="T T T"
Na -2.6726 -9.6426 -6.1767
Na -3.3465 -6.7043 -6.6195
H -4.6447 -8.2168 -4.1554
H -4.9484 -5.0961 -4.8747
H -2.9421 -9.1541 -2.4115
H -1.2827 -6.0019 -4.3464
H -5.8354 -9.9341 -9.6272
H -7.3990 -8.5641 -8.6574
H -1.7843 -8.1260 -1.6001
H -0.6984 -6.4686 -2.7561
H -4.3544 -10.3036 -8.7563
H -6.9882 -7.6170 -7.2466
H -4.4864 -11.6213 -5.1810
H -5.5293 -8.5807 -5.3072
C -2.1843 -7.6422 -3.5583
C -5.5208 -8.8875 -7.8852
N -2.2751 -8.3927 -2.4450
N -1.2795 -6.6474 -3.5651
N -5.1956 -9.7490 -8.8653
N -6.7172 -8.2767 -7.9658
Cl -8.0456 -9.8002 -10.6460
Cl -0.1533 -6.7831 -0.4013
O -4.9314 -5.1969 -5.8481
O -5.5801 -8.4523 -4.3357
O -2.9127 -7.8704 -4.5688
O -4.7228 -8.6518 -6.9305
```



This record from the Materials Project describes a geometry-optimized TlPO3 structure. The functional is r2SCAN.

Values from the calculation:
VASP energy	-18.030	eV per atom
magnetic moment	0.00	μB per cell
formation energy	-2.0102	eV per atom

Cell and atoms, written as extended XYZ:
```
40
Lattice="-0.2881 6.9462 -3.0336 -3.6892 2.5234 6.1284 9.6906 2.5001 4.8042" Properties=species:S:1:pos:R:3 pbc="T T T"
Tl 1.2396 5.5677 3.1479
Tl 4.4736 6.4020 4.7511
Tl 1.6170 0.4172 0.8016
Tl 8.0736 2.0829 4.0025
Tl 0.8015 1.9444 4.3761
Tl 6.9003 5.2905 1.9755
Tl 2.0551 4.0405 -0.4266
Tl 5.6468 3.1944 6.7782
P 1.1833 8.7180 5.0631
P 3.8958 3.0881 2.5216
P 6.5274 8.7804 7.0770
P 2.2416 4.3704 6.8694
P 4.1057 7.7628 1.3440
P -1.1662 5.9581 0.0910
P -2.1771 3.6751 3.3182
P 8.2422 5.5258 5.3118
O 2.0545 7.6667 5.6448
O 4.3785 4.4887 2.6110
O -3.0952 7.1416 3.4796
O 2.1507 4.0650 5.4199
O 2.8428 7.7190 2.1223
O 7.9484 9.3076 3.8231
O 6.7356 4.9765 8.5233
O -0.1624 2.5138 -0.0280
O 0.2665 8.3670 3.9422
O 2.4305 2.8246 2.4615
O 5.3931 8.9473 6.1254
O 3.3322 5.2594 7.3599
O 5.3972 7.4884 2.0344
O 0.3114 5.9256 0.2803
O -1.2726 4.3222 4.3099
O 6.9945 4.7443 5.0825
O -1.2184 3.3442 2.0616
O 6.4764 7.2194 7.4872
O 7.9116 6.9883 4.7125
O 3.9015 6.8243 0.0608
O 0.7961 4.8834 7.3347
O -1.7433 6.3874 1.5367
O 4.6035 2.2691 3.7038
O 2.1254 9.9626 4.6987
```



This record from the Materials Project describes a geometry-optimized CeZnNi structure. The functional is r2SCAN.

Values from the calculation:
VASP energy	-17.610	eV per atom
magnetic moment	1.57	μB per cell
formation energy	-0.3658	eV per atom

Cell and atoms, written as extended XYZ:
```
9
Lattice="2.8794 6.3709 -0.4907 -4.6584 -2.1186 -4.7879 -2.8342 1.4441 2.1185" Properties=species:S:1:pos:R:3 pbc="T T T"
Ce -3.3601 -0.1616 -0.9378
Ce -2.4541 3.2008 -2.0176
Ce -0.2161 3.3794 0.8546
Zn -3.5743 -1.6255 -3.6737
Zn -0.4139 0.9901 -1.2287
Zn -2.4489 2.7696 -5.1641
Ni -2.1462 0.7113 -3.3561
Ni 0.3669 3.5406 -1.9226
Ni -3.1961 4.9742 -4.2191
```



This record from the Materials Project describes a geometry-optimized Ba3P14 structure. The functional is r2SCAN.

Values from the calculation:
VASP energy	-12.674	eV per atom
magnetic moment	0.00	μB per cell
formation energy	-0.5841	eV per atom

Cell and atoms, written as extended XYZ:
```
34
Lattice="6.5678 -0.0154 0.0000 -0.1112 10.2840 0.0000 0.0000 0.0000 13.1479" Properties=species:S:1:pos:R:3 pbc="T T T"
Ba 1.3133 3.9541 4.6000
Ba 1.9150 1.1801 11.1739
Ba 5.1433 6.3144 8.5480
Ba 4.5416 9.0884 1.9740
Ba 0.0000 0.0000 6.5740
Ba 3.2283 5.1343 0.0000
P 0.5935 1.5554 1.9914
P 2.6348 3.5789 8.5654
P 5.8631 8.7132 11.1565
P 3.8218 6.6896 4.5826
P 3.8866 3.2000 6.7286
P 5.9095 1.9188 0.1546
P 2.0845 9.7241 4.1700
P 1.0326 5.6942 10.7440
P 4.3721 0.5445 8.9779
P 5.4240 4.5744 2.4039
P 3.5600 8.7988 5.4227
P 6.1249 6.6040 11.9967
P 2.8966 1.4698 7.7252
P 0.3317 3.6645 1.1512
P 0.8689 7.9523 3.7536
P 2.2482 7.4659 10.3276
P 5.5877 2.3162 9.3943
P 4.2084 2.8026 2.8204
P 0.5342 7.0585 5.7348
P 2.5828 8.3597 12.3088
P 5.9223 3.2100 7.4131
P 3.8737 1.9088 0.8391
P 2.4104 6.6181 2.9576
P 0.7067 8.8001 9.5315
P 4.0462 3.6504 10.1904
P 5.7499 1.4684 3.6164
P 0.5471 8.3497 12.9933
P 2.5700 7.0685 6.4194
```



This record from the Materials Project describes a geometry-optimized EuIn3 structure. The functional is r2SCAN.

Values from the calculation:
VASP energy	-27.042	eV per atom
magnetic moment	7.05	μB per cell
formation energy	-0.4776	eV per atom

Cell and atoms, written as extended XYZ:
```
4
Lattice="4.7185 0.0000 0.0000 0.0000 4.7185 0.0000 0.0000 0.0000 4.7185" Properties=species:S:1:pos:R:3 pbc="T T T"
Eu 0.0000 0.0000 0.0000
In 0.0000 2.3593 2.3593
In 2.3593 2.3593 0.0000
In 2.3593 0.0000 2.3593
```